(1)
Crystalline CaCoAsHO5 at its relaxed geometry. Source: the Materials Project database, functional PBE+U.

Calculated values
The calculation puts the energy of formation from the pure elements at -1.9960 eV per atom. Its space group is P2_12_12_1 (19). The value obtained for the density is 4090 kg/m3. The calculation puts the spin magnetization at 0.1109 μB/atom.

Lattice parameters (Å, degrees): 6.004 7.590 9.084 90.00 90.00 90.00
Element x y z (fractional)
Ca (0.523, 0.628, 0.327)
Ca (0.023, 0.872, 0.673)
Ca (0.477, 0.128, 0.173)
Ca (0.977, 0.372, 0.827)
Co (0.244, 0.741, 0.006)
Co (0.744, 0.759, 0.994)
Co (0.756, 0.241, 0.494)
Co (0.256, 0.259, 0.506)
As (0.483, 0.623, 0.677)
As (0.983, 0.877, 0.323)
As (0.517, 0.123, 0.823)
As (0.017, 0.377, 0.177)
H (0.517, 0.489, 0.021)
H (0.017, 0.011, 0.979)
H (0.483, 0.989, 0.479)
H (0.983, 0.511, 0.521)
O (0.505, 0.604, 0.072)
O (0.005, 0.896, 0.928)
O (0.495, 0.104, 0.428)
O (0.995, 0.396, 0.572)
O (0.254, 0.607, 0.793)
O (0.754, 0.893, 0.207)
O (0.746, 0.107, 0.707)
O (0.246, 0.393, 0.293)
O (0.509, 0.446, 0.556)
O (0.009, 0.054, 0.444)
O (0.491, 0.946, 0.944)
O (0.991, 0.554, 0.056)
O (0.910, 0.708, 0.440)
O (0.410, 0.792, 0.560)
O (0.090, 0.208, 0.060)
O (0.590, 0.292, 0.940)
O (0.767, 0.350, 0.270)
O (0.267, 0.150, 0.730)
O (0.233, 0.850, 0.230)
O (0.733, 0.650, 0.770)


(2)
Crystalline Li3CrSiO5 at its relaxed geometry. Source: the Materials Project database, functional PBE+U.

Calculated values
The calculation puts the energy of formation from the pure elements at -2.6151 eV per atom. The value obtained for the density is 3545 kg/m3. The calculation puts the spin magnetization at 0.0000 μB/atom. As for the polymorph energy (0 for the lowest one): 0.0 kJ per mole of atoms.

Lattice parameters (Å, degrees): 4.986 5.780 12.468 84.94 82.65 106.43
Element x y z (fractional)
Li (0.500, 0.100, 0.100)
Li (0.000, 0.600, 0.600)
Li (0.500, 0.600, 0.100)
Li (0.000, 0.100, 0.600)
Li (0.503, 0.304, 0.299)
Li (0.003, 0.803, 0.799)
Li (0.997, 0.397, 0.401)
Li (0.497, 0.896, 0.901)
Li (0.021, 0.209, 0.192)
Li (0.521, 0.709, 0.692)
Li (0.979, 0.991, 0.008)
Li (0.479, 0.491, 0.508)
Cr (0.001, 0.297, 0.799)
Cr (0.999, 0.903, 0.401)
Cr (0.501, 0.798, 0.299)
Cr (0.499, 0.402, 0.901)
Si (0.000, 0.695, 0.196)
Si (0.500, 0.195, 0.696)
Si (0.000, 0.505, 0.004)
Si (0.500, 0.005, 0.504)
O (0.773, 0.876, 0.162)
O (0.273, 0.376, 0.662)
O (0.227, 0.324, 0.038)
O (0.727, 0.824, 0.538)
O (0.274, 0.172, 0.453)
O (0.774, 0.672, 0.953)
O (0.226, 0.528, 0.247)
O (0.726, 0.028, 0.747)
O (0.795, 0.431, 0.141)
O (0.295, 0.931, 0.641)
O (0.205, 0.769, 0.059)
O (0.705, 0.269, 0.559)
O (0.268, 0.733, 0.454)
O (0.768, 0.233, 0.954)
O (0.232, 0.967, 0.246)
O (0.732, 0.467, 0.746)
O (0.725, 0.084, 0.368)
O (0.225, 0.584, 0.868)
O (0.775, 0.616, 0.332)
O (0.275, 0.116, 0.832)


(3)
Crystalline LiVF4 at its relaxed geometry. Source: the Materials Project database, functional PBE+U.

Calculated values
The calculation puts the energy of formation from the pure elements at -3.1767 eV per atom. Its space group is P-1 (2). The value obtained for the density is 3371 kg/m3. The calculation puts the spin magnetization at 0.3333 μB/atom. As for the polymorph energy (0 for the lowest one): 4.1 kJ per mole of atoms.

Lattice parameters (Å, degrees): 5.200 5.018 5.191 88.86 103.10 90.36
Element x y z (fractional)
Li (0.213, 0.498, 0.712)
Li (0.787, 0.502, 0.288)
V (0.707, 0.959, 0.793)
V (0.293, 0.041, 0.207)
F (0.387, 0.796, 0.531)
F (0.976, 0.794, 0.112)
F (0.483, 0.760, 0.029)
F (0.887, 0.708, 0.613)
F (0.113, 0.292, 0.387)
F (0.517, 0.240, 0.971)
F (0.024, 0.206, 0.888)
F (0.613, 0.204, 0.469)